# 1
Compound: BaSrCeHfO6
Source: the Materials Project database
Functional: PBE
Structure: relaxed

a = 6.0992 Å, b = 6.0992 Å, c = 6.0992 Å
α = 60.00°, β = 60.00°, γ = 60.00°
Fractional coordinates of all 10 atoms:
Ba (0.2500, 0.2500, 0.2500)
Sr (0.7500, 0.7500, 0.7500)
Ce (0.0000, 0.0000, 0.0000)
Hf (0.5000, 0.5000, 0.5000)
O (0.7413, 0.2586, 0.2586)
O (0.2586, 0.7413, 0.7413)
O (0.7413, 0.2586, 0.7413)
O (0.2586, 0.7413, 0.2586)
O (0.7413, 0.7413, 0.2586)
O (0.2586, 0.2586, 0.7413)

Results
- Formation enthalpy at 0 K: -3.63 eV per atom
- V: 16.04 Å³ per atom


# 2
Compound: BaSrCeHfO6
Source: the Materials Project database
Functional: PBE
Structure: relaxed

a = 8.5817 Å, b = 8.5823 Å, c = 8.5737 Å
α = 90.00°, β = 90.00°, γ = 90.00°
Fractional coordinates of all 40 atoms:
Ba (0.0000, 0.0000, 0.0000)
Ba (0.5000, 0.5000, 0.5000)
Ba (0.0000, 0.5000, 0.0000)
Ba (0.0000, 0.0000, 0.5000)
Sr (0.0000, 0.5000, 0.5000)
Sr (0.5000, 0.0000, 0.5000)
Sr (0.5000, 0.5000, 0.0000)
Sr (0.5000, 0.0000, 0.0000)
Ce (0.7473, 0.7495, 0.7498)
Ce (0.2527, 0.2505, 0.7498)
Ce (0.2527, 0.7495, 0.2502)
Ce (0.7473, 0.2505, 0.2502)
Hf (0.2533, 0.2505, 0.2501)
Hf (0.7467, 0.7495, 0.2501)
Hf (0.7467, 0.2505, 0.7499)
Hf (0.2533, 0.7495, 0.7499)
O (0.0102, 0.2244, 0.2728)
O (0.9898, 0.7756, 0.2728)
O (0.9898, 0.2244, 0.7272)
O (0.0102, 0.7756, 0.7272)
O (0.2844, 0.0095, 0.2168)
O (0.2844, 0.9905, 0.7832)
O (0.7156, 0.9905, 0.2168)
O (0.7156, 0.0095, 0.7832)
O (0.2266, 0.2757, 0.0087)
O (0.7734, 0.2757, 0.9913)
O (0.2266, 0.7243, 0.9913)
O (0.7734, 0.7243, 0.0087)
O (0.4913, 0.2895, 0.2159)
O (0.5087, 0.7105, 0.2159)
O (0.5087, 0.2895, 0.7841)
O (0.4913, 0.7105, 0.7841)
O (0.2194, 0.4902, 0.2885)
O (0.2194, 0.5098, 0.7115)
O (0.7806, 0.5098, 0.2885)
O (0.7806, 0.4902, 0.7115)
O (0.2889, 0.2151, 0.4901)
O (0.7111, 0.2151, 0.5099)
O (0.2889, 0.7849, 0.5099)
O (0.7111, 0.7849, 0.4901)

Results
- Formation enthalpy at 0 K: -3.67 eV per atom
- V: 15.79 Å³ per atom


# 3
Compound: BaSrCeHfO6
Source: the Materials Project database
Functional: PBE
Structure: relaxed

a = 6.0637 Å, b = 6.0708 Å, c = 8.5603 Å
α = 90.18°, β = 90.19°, γ = 90.04°
Fractional coordinates of all 20 atoms:
Ba (0.5051, 0.5207, 0.2498)
Ba (0.4949, 0.4793, 0.7502)
Sr (0.9954, 0.0290, 0.2516)
Sr (0.0046, 0.9710, 0.7484)
Ce (0.0000, 0.5000, 0.0000)
Ce (0.5000, 0.0000, 0.5000)
Hf (0.5000, 0.0000, 0.0000)
Hf (0.0000, 0.5000, 0.5000)
O (0.2260, 0.2063, 0.9556)
O (0.2708, 0.7123, 0.5317)
O (0.7740, 0.7937, 0.0444)
O (0.7292, 0.2877, 0.4683)
O (0.2892, 0.7283, 0.9657)
O (0.2033, 0.2227, 0.5422)
O (0.7108, 0.2717, 0.0343)
O (0.7967, 0.7773, 0.4578)
O (0.4173, 0.9959, 0.2402)
O (0.0621, 0.4666, 0.2595)
O (0.5827, 0.0041, 0.7598)
O (0.9379, 0.5334, 0.7405)

Results
- Formation enthalpy at 0 K: -3.67 eV per atom
- V: 15.76 Å³ per atom


# 4
Compound: BaCeI4
Source: the Materials Project database
Functional: PBE
Structure: relaxed

a = 9.2612 Å, b = 9.2612 Å, c = 7.5154 Å
α = 72.24°, β = 72.24°, γ = 111.03°
Fractional coordinates of all 12 atoms:
Ba (0.6348, 0.3652, 0.7500)
Ba (0.3652, 0.6348, 0.2500)
Ce (0.0000, 0.0000, 0.7500)
Ce (0.0000, 0.0000, 0.2500)
I (0.2311, 0.3568, 0.7822)
I (0.7689, 0.6432, 0.2178)
I (0.3568, 0.2311, 0.2822)
I (0.2882, 0.9424, 0.9156)
I (0.9424, 0.2882, 0.4156)
I (0.0576, 0.7118, 0.5844)
I (0.7118, 0.0576, 0.0844)
I (0.6432, 0.7689, 0.7178)

Results
- Formation enthalpy at 0 K: -1.79 eV per atom
- V: 42.24 Å³ per atom


# 5
Compound: BaCeNbInO6
Source: the Materials Project database
Functional: PBE
Structure: relaxed

a = 6.0730 Å, b = 6.0730 Å, c = 6.0730 Å
α = 60.00°, β = 60.00°, γ = 60.00°
Fractional coordinates of all 10 atoms:
Ba (0.2500, 0.2500, 0.2500)
Ce (0.0000, 0.0000, 0.0000)
Nb (0.5000, 0.5000, 0.5000)
In (0.7500, 0.7500, 0.7500)
O (0.7363, 0.2637, 0.2637)
O (0.2637, 0.7363, 0.7363)
O (0.7363, 0.2637, 0.7363)
O (0.2637, 0.7363, 0.2637)
O (0.7363, 0.7363, 0.2637)
O (0.2637, 0.2637, 0.7363)

Results
- Formation enthalpy at 0 K: -3.00 eV per atom
- V: 15.84 Å³ per atom


# 6
Compound: BaCeNbInO6
Source: the Materials Project database
Functional: PBE
Structure: relaxed

a = 8.5710 Å, b = 8.5983 Å, c = 8.5922 Å
α = 90.00°, β = 90.00°, γ = 90.00°
Fractional coordinates of all 40 atoms:
Ba (0.0000, 0.0000, 0.0000)
Ba (0.5000, 0.5000, 0.5000)
Ba (0.5000, 0.0000, 0.5000)
Ba (0.0000, 0.5000, 0.0000)
Ce (0.7500, 0.7500, 0.7500)
Ce (0.2500, 0.2500, 0.7500)
Ce (0.2500, 0.7500, 0.2500)
Ce (0.7500, 0.2500, 0.2500)
Nb (0.2500, 0.2500, 0.2500)
Nb (0.7500, 0.7500, 0.2500)
Nb (0.7500, 0.2500, 0.7500)
Nb (0.2500, 0.7500, 0.7500)
In (0.0000, 0.5000, 0.5000)
In (0.5000, 0.5000, 0.0000)
In (0.5000, 0.0000, 0.0000)
In (0.0000, 0.0000, 0.5000)
O (0.0140, 0.2326, 0.2504)
O (0.9860, 0.7674, 0.2504)
O (0.9860, 0.2326, 0.7496)
O (0.0140, 0.7674, 0.7496)
O (0.2670, 0.0145, 0.2479)
O (0.2670, 0.9855, 0.7521)
O (0.7330, 0.9855, 0.2479)
O (0.7330, 0.0145, 0.7521)
O (0.2308, 0.2509, 0.0133)
O (0.7692, 0.2509, 0.9867)
O (0.2308, 0.7491, 0.9867)
O (0.7692, 0.7491, 0.0133)
O (0.4860, 0.2674, 0.2496)
O (0.5140, 0.7326, 0.2496)
O (0.5140, 0.2674, 0.7504)
O (0.4860, 0.7326, 0.7504)
O (0.2330, 0.4855, 0.2521)
O (0.2330, 0.5145, 0.7479)
O (0.7670, 0.5145, 0.2521)
O (0.7670, 0.4855, 0.7479)
O (0.2692, 0.2491, 0.4867)
O (0.7308, 0.2491, 0.5133)
O (0.2692, 0.7509, 0.5133)
O (0.7308, 0.7509, 0.4867)

Results
- Formation enthalpy at 0 K: -3.00 eV per atom
- V: 15.83 Å³ per atom


| no. | E (MP2020) (eV for the cell shown) | total DFT energy (no corrections) (eV per cell) |
| --- | --- | --- |
| 1 | -85.51 | -81.4 |
| 2 | -343.47 | -327.0 |
| 3 | -171.82 | -163.6 |
| 4 | -49.43 | -46.4 |
| 5 | -80.37 | -76.2 |
| 6 | -321.61 | -305.1 |